--- one ---
Below is an optimized crystal structure of LiCu2BP2H2O10, with properties calculated at the PBE level.

## Properties
Its crystal system is orthorhombic. As for the volume: 192.6 Å³/f.u. Its symmetry is P2_12_12_1.

a = 5.4362 Å, b = 8.0295 Å, c = 17.6534 Å
α = 90.00°, β = 90.00°, γ = 90.00°
Fractional positions:
Li: 0.2404 0.1289 0.4540
Li: 0.2596 0.8711 0.9540
Li: 0.7404 0.3711 0.5460
Li: 0.7596 0.6289 0.0460
Cu: 0.0317 0.8228 0.1576
Cu: 0.0439 0.1717 0.0176
Cu: 0.4561 0.8283 0.5176
Cu: 0.4683 0.1772 0.6576
Cu: 0.5317 0.6772 0.8424
Cu: 0.5439 0.3283 0.9824
Cu: 0.9561 0.6717 0.4824
Cu: 0.9683 0.3228 0.3424
B: 0.2190 0.4165 0.7642
B: 0.2810 0.5835 0.2642
B: 0.7190 0.0835 0.2358
B: 0.7810 0.9165 0.7358
P: 0.0667 0.4947 0.9067
P: 0.2464 0.5370 0.6185
P: 0.2536 0.4630 0.1185
P: 0.4333 0.5053 0.4067
P: 0.5667 0.0053 0.0933
P: 0.7464 0.9630 0.3815
P: 0.7536 0.0370 0.8815
P: 0.9333 0.9947 0.5933
H: 0.0464 0.1308 0.1805
H: 0.1209 0.1634 0.7606
H: 0.3791 0.8366 0.2606
H: 0.4536 0.8692 0.6805
H: 0.5464 0.3692 0.8195
H: 0.6209 0.3366 0.2394
H: 0.8791 0.6634 0.7394
H: 0.9536 0.6308 0.3195
O: 0.0187 0.5194 0.5661
O: 0.0282 0.4343 0.8224
O: 0.0301 0.5375 0.2911
O: 0.0684 0.6071 0.1062
O: 0.1269 0.2923 0.1089
O: 0.1466 0.5326 0.7028
O: 0.1860 0.0345 0.5591
O: 0.1934 0.3492 0.9504
O: 0.2300 0.2445 0.7361
O: 0.2370 0.6498 0.9069
O: 0.2630 0.3502 0.4069
O: 0.2700 0.7555 0.2361
O: 0.3066 0.6508 0.4504
O: 0.3140 0.9655 0.0591
O: 0.3534 0.4674 0.2028
O: 0.3731 0.7077 0.6089
O: 0.4316 0.3929 0.6062
O: 0.4699 0.4625 0.7911
O: 0.4718 0.5657 0.3224
O: 0.4813 0.4806 0.0661
O: 0.5187 0.9806 0.4339
O: 0.5282 0.0657 0.1776
O: 0.5301 0.9625 0.7089
O: 0.5684 0.8929 0.8938
O: 0.6269 0.2077 0.8911
O: 0.6466 0.9674 0.2972
O: 0.6860 0.4655 0.4409
O: 0.6934 0.1508 0.0496
O: 0.7300 0.2555 0.2639
O: 0.7370 0.8502 0.0931
O: 0.7630 0.1498 0.5931
O: 0.7700 0.7445 0.7639
O: 0.8066 0.8492 0.5496
O: 0.8140 0.5345 0.9409
O: 0.8534 0.0326 0.7972
O: 0.8731 0.7923 0.3911
O: 0.9316 0.1071 0.3938
O: 0.9699 0.0375 0.2089
O: 0.9718 0.9343 0.6776
O: 0.9813 0.0194 0.9339

***

--- two ---
Below is an optimized crystal structure of LiCu2BP2H2O10, with properties calculated at the PBE level.

## Properties
Its crystal system is monoclinic. As for the volume: 184.0 Å³/f.u. Its symmetry is C2/c.

a = 8.1544 Å, b = 8.1544 Å, c = 9.7964 Å
α = 92.11°, β = 92.11°, γ = 34.44°
Fractional positions:
Li: 0.0000 0.5000 0.0000
Li: 0.5000 0.0000 0.5000
Cu: 0.0609 0.6461 0.2696
Cu: 0.3539 0.9391 0.2304
Cu: 0.6461 0.0609 0.7696
Cu: 0.9391 0.3539 0.7304
B: 0.2178 0.7822 0.7500
B: 0.7822 0.2178 0.2500
P: 0.1763 0.5385 0.5885
P: 0.4615 0.8237 0.9115
P: 0.5385 0.1763 0.0885
P: 0.8237 0.4615 0.4115
H: 0.0821 0.7694 0.9111
H: 0.2306 0.9179 0.5889
H: 0.7694 0.0821 0.4111
H: 0.9179 0.2306 0.0889
O: 0.0124 0.0937 0.1626
O: 0.0937 0.0124 0.6626
O: 0.1548 0.1614 0.4035
O: 0.1614 0.1548 0.9035
O: 0.2750 0.4322 0.4398
O: 0.2810 0.2991 0.6664
O: 0.2991 0.2810 0.1664
O: 0.3446 0.5507 0.6576
O: 0.4322 0.2750 0.9398
O: 0.4493 0.6554 0.8424
O: 0.5507 0.3446 0.1576
O: 0.5678 0.7250 0.0602
O: 0.6554 0.4493 0.3424
O: 0.7009 0.7190 0.8336
O: 0.7190 0.7009 0.3336
O: 0.7250 0.5678 0.5602
O: 0.8386 0.8452 0.0965
O: 0.8452 0.8386 0.5965
O: 0.9063 0.9876 0.3374
O: 0.9876 0.9063 0.8374

***

Most stable = one

***

--- one ---
Below is an optimized crystal structure of LiCuBO3, with properties calculated at the PBE level.

## Properties
Its crystal system is monoclinic. As for the volume: 59.5 Å³/f.u. Its symmetry is Pm.

a = 8.1070 Å, b = 3.1186 Å, c = 8.1181 Å
α = 90.00°, β = 119.64°, γ = 90.00°
Fractional positions:
Li: 0.0000 0.0000 0.0000
Li: 0.2729 0.0000 0.6114
Li: 0.6101 0.0000 0.3373
Cu: 0.3066 0.5000 0.9563
Cu: 0.6550 0.5000 0.6887
Cu: 0.9244 0.5000 0.3093
B: 0.2948 0.5000 0.3178
B: 0.6274 0.0000 0.9833
B: 0.9612 0.5000 0.6496
O: 0.0257 0.5000 0.8413
O: 0.0890 0.5000 0.5842
O: 0.0983 0.5000 0.2116
O: 0.3836 0.5000 0.5129
O: 0.4007 0.5000 0.2274
O: 0.4303 0.0000 0.8988
O: 0.7103 0.0000 0.8687
O: 0.7389 0.0000 0.1770
O: 0.7696 0.5000 0.5217

***

--- two ---
Below is an optimized crystal structure of LiCuBO3, with properties calculated at the PBE level.

## Properties
Its crystal system is orthorhombic. As for the volume: 57.0 Å³/f.u. Its symmetry is Pbca.

a = 5.1682 Å, b = 5.2450 Å, c = 16.8184 Å
α = 90.00°, β = 90.00°, γ = 90.00°
Fractional positions:
Li: 0.2490 0.0063 0.2358
Li: 0.2490 0.4937 0.7358
Li: 0.2510 0.5063 0.2358
Li: 0.2510 0.9937 0.7358
Li: 0.7490 0.0063 0.2642
Li: 0.7490 0.4937 0.7642
Li: 0.7510 0.5063 0.2642
Li: 0.7510 0.9937 0.7642
Cu: 0.0047 0.6890 0.5686
Cu: 0.0047 0.8110 0.0686
Cu: 0.4953 0.1890 0.5686
Cu: 0.4953 0.3110 0.0686
Cu: 0.5047 0.6890 0.9314
Cu: 0.5047 0.8110 0.4314
Cu: 0.9953 0.1890 0.9314
Cu: 0.9953 0.3110 0.4314
B: 0.0128 0.7036 0.8745
B: 0.0128 0.7964 0.3745
B: 0.4872 0.2036 0.8745
B: 0.4872 0.2964 0.3745
B: 0.5128 0.7036 0.6255
B: 0.5128 0.7964 0.1255
B: 0.9872 0.2036 0.6255
B: 0.9872 0.2964 0.1255
O: 0.0458 0.7482 0.7955
O: 0.0458 0.7518 0.2955
O: 0.1476 0.6628 0.4350
O: 0.1476 0.8372 0.9350
O: 0.1657 0.0140 0.6020
O: 0.1657 0.4860 0.1020
O: 0.3343 0.5140 0.6020
O: 0.3343 0.9860 0.1020
O: 0.3524 0.1628 0.4350
O: 0.3524 0.3372 0.9350
O: 0.4542 0.2482 0.7955
O: 0.4542 0.2518 0.2955
O: 0.5458 0.7482 0.7045
O: 0.5458 0.7518 0.2045
O: 0.6476 0.6628 0.0650
O: 0.6476 0.8372 0.5650
O: 0.6657 0.0140 0.8980
O: 0.6657 0.4860 0.3980
O: 0.8343 0.5140 0.8980
O: 0.8343 0.9860 0.3980
O: 0.8524 0.1628 0.0650
O: 0.8524 0.3372 0.5650
O: 0.9542 0.2482 0.7045
O: 0.9542 0.2518 0.2045

***

Most stable = two

***

--- one ---
Below is an optimized crystal structure of LiCuBO3, with properties calculated at the PBE level.

## Properties
Its crystal system is monoclinic. As for the volume: 57.0 Å³/f.u. Its symmetry is Cc.

a = 5.2230 Å, b = 5.2230 Å, c = 9.5879 Å
α = 91.02°, β = 91.02°, γ = 119.28°
Fractional positions:
Li: 0.0012 0.9988 0.5000
Li: 0.3146 0.3335 0.2495
Li: 0.3335 0.3146 0.7495
Li: 0.9988 0.0012 0.0000
Cu: 0.3290 0.6793 0.9720
Cu: 0.6406 0.9843 0.7230
Cu: 0.6793 0.3290 0.4720
Cu: 0.9843 0.6406 0.2230
B: 0.0007 0.6631 0.7185
B: 0.3209 0.6592 0.4681
B: 0.6592 0.3209 0.9681
B: 0.6631 0.0007 0.2185
O: 0.0193 0.9302 0.7074
O: 0.0783 0.6942 0.4279
O: 0.2411 0.6311 0.7652
O: 0.3070 0.3935 0.4595
O: 0.3935 0.3070 0.9595
O: 0.4061 0.7393 0.1790
O: 0.5787 0.9111 0.5153
O: 0.6311 0.2411 0.2652
O: 0.6942 0.0783 0.9279
O: 0.7393 0.4061 0.6790
O: 0.9111 0.5787 0.0153
O: 0.9302 0.0193 0.2074

***

--- two ---
Below is an optimized crystal structure of LiCuBO3, with properties calculated at the PBE level.

## Properties
Its crystal system is triclinic. As for the volume: 60.0 Å³/f.u. Its symmetry is P1.

a = 3.1422 Å, b = 14.0689 Å, c = 14.0799 Å
α = 60.26°, β = 88.59°, γ = 89.67°
Fractional positions:
Li: 0.0000 0.0000 0.0000
Li: 0.0010 0.3014 0.6466
Li: 0.0044 0.6755 0.2953
Li: 0.0139 0.6500 0.9762
Li: 0.0542 0.0049 0.6370
Li: 0.9503 0.9901 0.3079
Li: 0.9823 0.6608 0.6506
Li: 0.9859 0.3309 0.3230
Li: 0.9883 0.3534 0.9486
Cu: 0.4378 0.0987 0.4070
Cu: 0.4656 0.4337 0.1003
Cu: 0.4661 0.4355 0.7337
Cu: 0.4665 0.1322 0.0849
Cu: 0.4940 0.7671 0.0809
Cu: 0.5074 0.7587 0.4444
Cu: 0.5258 0.4527 0.4157
Cu: 0.5378 0.0847 0.7795
Cu: 0.5619 0.7969 0.7419
B: 0.0068 0.5430 0.5293
B: 0.0300 0.8826 0.8750
B: 0.4877 0.8855 0.2064
B: 0.4949 0.5588 0.8570
B: 0.4963 0.8854 0.5320
B: 0.4991 0.2186 0.8648
B: 0.5061 0.5521 0.1982
B: 0.5119 0.2101 0.5328
B: 0.9614 0.2294 0.1900
O: 0.0089 0.6464 0.5162
O: 0.0147 0.5289 0.4377
O: 0.0166 0.7925 0.9802
O: 0.0211 0.9877 0.8625
O: 0.0512 0.8698 0.7844
O: 0.4012 0.2176 0.4343
O: 0.4381 0.9522 0.4218
O: 0.4405 0.8898 0.1066
O: 0.4427 0.4589 0.9525
O: 0.4507 0.9820 0.2107
O: 0.4592 0.5621 0.7570
O: 0.4769 0.2341 0.7602
O: 0.4770 0.4435 0.2790
O: 0.4965 0.7730 0.5774
O: 0.5084 0.3083 0.8805
O: 0.5113 0.1138 0.9542
O: 0.5123 0.5802 0.0889
O: 0.5275 0.6338 0.2257
O: 0.5548 0.9295 0.5988
O: 0.5596 0.1102 0.6275
O: 0.5702 0.3054 0.5373
O: 0.5763 0.7865 0.2983
O: 0.5856 0.6523 0.8627
O: 0.9505 0.1397 0.2936
O: 0.9669 0.3352 0.1751
O: 0.9682 0.2161 0.0979
O: 0.9945 0.4516 0.6337

***

--- three ---
Below is an optimized crystal structure of LiCuBO3, with properties calculated at the PBE level.

## Properties
Its crystal system is hexagonal. As for the volume: 57.7 Å³/f.u. Its symmetry is P-6.

a = 8.0953 Å, b = 8.0953 Å, c = 3.0503 Å
α = 90.00°, β = 90.00°, γ = 120.00°
Fractional positions:
Li: 0.0186 0.2981 0.0000
Li: 0.2795 0.9814 0.0000
Li: 0.7019 0.7205 0.0000
Cu: 0.3804 0.3670 0.5000
Cu: 0.6330 0.0134 0.5000
Cu: 0.9866 0.6196 0.5000
B: 0.0000 0.0000 0.5000
B: 0.3333 0.6667 0.0000
B: 0.6667 0.3333 0.0000
O: 0.0856 0.1967 0.5000
O: 0.1111 0.9144 0.5000
O: 0.1370 0.5841 0.0000
O: 0.4159 0.5529 0.0000
O: 0.4471 0.8630 0.0000
O: 0.4698 0.2554 0.0000
O: 0.7446 0.2144 0.0000
O: 0.7856 0.5302 0.0000
O: 0.8033 0.8889 0.5000

***

Most stable = one